Record 1
Compound: NbGePt
Source: the Materials Project database
Functional: PBE
Structure: relaxed

Cell and atoms, written as POSCAR:
```
NbGePt
1.0
6.5182 0.0000 0.0000
0.0000 3.9749 0.0000
0.0000 0.0000 7.5743
Nb Ge Pt
4 4 4
Cartesian
0.1819 0.9937 1.3001 Nb
3.0772 2.9812 5.0872 Nb
3.4411 0.9937 2.4871 Nb
6.3363 2.9812 6.2742 Nb
1.5503 2.9812 2.8484 Ge
1.7088 0.9937 6.6356 Ge
4.8094 2.9812 0.9387 Ge
4.9679 0.9937 4.7259 Ge
0.9995 0.9937 4.2709 Pt
2.2596 2.9812 0.4838 Pt
4.2586 0.9937 7.0905 Pt
5.5187 2.9812 3.3034 Pt
```

Calculated values
Crystal system: orthorhombic
Total energy (eV per atom): -7.461

Record 2
Compound: Mo3N2Cl11
Source: the Materials Project database
Functional: PBE
Structure: relaxed

Cell and atoms, written as POSCAR:
```
Mo3N2Cl11
1.0
13.0774 0.0000 0.0000
0.0000 10.3587 0.0000
0.0000 0.0000 13.8250
Mo N Cl
12 8 44
Cartesian
0.3361 1.8033 0.0000 Mo
2.3688 3.9318 11.4381 Mo
3.0012 7.3660 5.4929 Mo
3.5375 7.3660 12.4054 Mo
4.1699 3.9318 4.5255 Mo
6.2026 1.8033 6.9125 Mo
6.8748 8.5554 0.0000 Mo
8.9075 6.4269 11.4381 Mo
9.5399 2.9927 5.4929 Mo
10.0763 2.9927 12.4054 Mo
10.7086 6.4269 4.5255 Mo
12.7413 8.5554 6.9125 Mo
1.3849 2.9526 12.4389 N
1.5083 7.8638 6.1520 N
5.0304 7.8638 13.0646 N
5.1538 2.9526 5.5264 N
7.9236 7.4062 12.4389 N
8.0470 2.4949 6.1520 N
11.5691 2.4949 13.0646 N
11.6925 7.4062 5.5264 N
0.1575 0.3254 12.0757 Cl
0.2242 3.7291 1.2337 Cl
0.7417 9.9307 8.4090 Cl
1.0885 5.9286 11.5294 Cl
1.5949 3.4041 9.3736 Cl
2.1055 7.9543 0.2590 Cl
2.2796 2.6495 4.4382 Cl
2.2931 6.0333 3.6249 Cl
2.3906 1.1453 0.8056 Cl
3.0281 5.0640 6.5300 Cl
3.1051 9.0956 11.0020 Cl
3.4336 9.0956 4.0894 Cl
3.5107 5.0640 13.4426 Cl
4.1481 1.1453 7.7181 Cl
4.2456 6.0333 10.5374 Cl
4.2591 2.6495 11.3507 Cl
4.4332 7.9543 7.1715 Cl
4.9438 3.4041 2.4611 Cl
5.4502 5.9286 4.6168 Cl
5.7971 9.9307 1.4965 Cl
6.3145 3.7291 8.1462 Cl
6.3812 0.3254 5.1631 Cl
6.6962 10.0334 12.0757 Cl
6.7629 6.6296 1.2337 Cl
7.2804 0.4280 8.4090 Cl
7.6272 4.4301 11.5294 Cl
8.1336 6.9546 9.3736 Cl
8.6442 2.4044 0.2590 Cl
8.8184 7.7093 4.4382 Cl
8.8318 4.3255 3.6249 Cl
8.9293 9.2135 0.8056 Cl
9.5668 5.2948 6.5300 Cl
9.6439 1.2631 11.0020 Cl
9.9723 1.2631 4.0894 Cl
10.0494 5.2948 13.4426 Cl
10.6868 9.2135 7.7181 Cl
10.7843 4.3255 10.5374 Cl
10.7978 7.7093 11.3507 Cl
10.9719 2.4044 7.1715 Cl
11.4825 6.9546 2.4611 Cl
11.9890 4.4301 4.6168 Cl
12.3358 0.4280 1.4965 Cl
12.8532 6.6296 8.1462 Cl
12.9199 10.0334 5.1631 Cl
```

Calculated values
Crystal system: orthorhombic
Total energy (eV per atom): -5.061
E (MP2020) (eV/atom): -5.48

Number 1: energy of formation from the pure elements -529.2 meV/atom. Number 2: energy of formation from the pure elements -1136.2 meV/atom.